(1)
{
  "formula": "Li9Cr3W7O28",
  "functional": "GGA+U",
  "state": "optimized geometry",
  "formation_energy_ev_per_atom": -2.21,
  "crystal_system": "trigonal",
  "final_energy_ev_per_atom": -6.87,
  "space_group": "R3m (160)",
  "lattice": [[5.991, 3.459, 4.940], [-5.991, 3.459, 4.940], [0.000, -6.917, 4.940]],
  "species": ["Li", "Li", "Li", "Li", "Li", "Li", "Li", "Li", "Li", "Cr", "Cr", "Cr", "W", "W", "W", "W", "W", "W", "W", "O", "O", "O", "O", "O", "O", "O", "O", "O", "O", "O", "O", "O", "O", "O", "O", "O", "O", "O", "O", "O", "O", "O", "O", "O", "O", "O", "O"],
  "fractional_positions": [[0.011, 0.274, 0.715], [0.011, 0.715, 0.274], [0.274, 0.011, 0.715], [0.274, 0.715, 0.011], [0.460, 0.725, 0.725], [0.715, 0.011, 0.274], [0.715, 0.274, 0.011], [0.725, 0.460, 0.725], [0.725, 0.725, 0.460], [0.472, 0.992, 0.992], [0.992, 0.472, 0.992], [0.992, 0.992, 0.472], [0.009, 0.009, 0.009], [0.015, 0.728, 0.728], [0.365, 0.365, 0.865], [0.365, 0.865, 0.365], [0.728, 0.015, 0.728], [0.728, 0.728, 0.015], [0.865, 0.365, 0.365], [0.223, 0.986, 0.986], [0.226, 0.751, 0.751], [0.233, 0.484, 0.989], [0.233, 0.989, 0.484], [0.246, 0.246, 0.740], [0.246, 0.740, 0.246], [0.484, 0.233, 0.989], [0.484, 0.989, 0.233], [0.491, 0.491, 0.751], [0.491, 0.751, 0.491], [0.502, 0.759, 0.986], [0.502, 0.986, 0.759], [0.740, 0.246, 0.246], [0.751, 0.226, 0.751], [0.751, 0.491, 0.491], [0.751, 0.751, 0.226], [0.752, 0.984, 0.984], [0.759, 0.502, 0.986], [0.759, 0.986, 0.502], [0.766, 0.766, 0.766], [0.984, 0.752, 0.984], [0.984, 0.984, 0.752], [0.986, 0.223, 0.986], [0.986, 0.502, 0.759], [0.986, 0.759, 0.502], [0.986, 0.986, 0.223], [0.989, 0.233, 0.484], [0.989, 0.484, 0.233]]
}

(2)
{
  "formula": "Lu2MgCr2O8",
  "functional": "GGA+U",
  "state": "optimized geometry",
  "formation_energy_ev_per_atom": -2.86,
  "relative_energy_mev_per_atom": 0,
  "crystal_system": "triclinic",
  "final_energy_ev_per_atom": -7.48,
  "space_group": "P1 (1)",
  "lattice": [[5.828, 0.000, 0.000], [-1.671, 5.614, 0.000], [-1.455, -3.262, 5.063]],
  "species": ["Lu", "Lu", "Mg", "Cr", "Cr", "O", "O", "O", "O", "O", "O", "O", "O"],
  "fractional_positions": [[0.000, 0.000, 0.000], [0.428, 0.697, 0.129], [0.989, 0.114, 0.560], [0.523, 0.245, 0.699], [0.975, 0.520, 0.433], [0.115, 0.625, 0.780], [0.183, 0.479, 0.265], [0.273, 0.036, 0.354], [0.292, 0.217, 0.862], [0.647, 0.619, 0.867], [0.742, 0.101, 0.745], [0.783, 0.690, 0.383], [0.784, 0.128, 0.269]]
}

(3)
{
  "formula": "Lu2MgCr2O8",
  "functional": "GGA+U",
  "state": "optimized geometry",
  "formation_energy_ev_per_atom": -2.84,
  "relative_energy_mev_per_atom": 16,
  "crystal_system": "monoclinic",
  "final_energy_ev_per_atom": -7.46,
  "space_group": "C2 (5)",
  "lattice": [[3.155, -5.067, 0.000], [3.155, 5.067, 0.000], [-3.133, 0.000, 5.229]],
  "species": ["Lu", "Lu", "Mg", "Cr", "Cr", "O", "O", "O", "O", "O", "O", "O", "O"],
  "fractional_positions": [[0.000, 0.000, 0.000], [0.718, 0.282, 0.500], [0.006, 0.994, 0.500], [0.275, 0.725, 0.500], [0.496, 0.504, 0.000], [0.057, 0.760, 0.659], [0.072, 0.356, 0.332], [0.124, 0.318, 0.806], [0.240, 0.943, 0.341], [0.483, 0.309, 0.178], [0.644, 0.928, 0.668], [0.682, 0.876, 0.194], [0.691, 0.517, 0.822]]
}

(4)
{
  "formula": "LuCrO4",
  "functional": "GGA+U",
  "state": "optimized geometry",
  "formation_energy_ev_per_atom": -2.79,
  "crystal_system": "tetragonal",
  "final_energy_ev_per_atom": -7.66,
  "space_group": "I4_1/amd (141)",
  "lattice": [[-3.536, 3.536, 3.105], [3.536, -3.536, 3.105], [3.536, 3.536, -3.105]],
  "species": ["Lu", "Lu", "Cr", "Cr", "O", "O", "O", "O", "O", "O", "O", "O"],
  "fractional_positions": [[0.375, 0.625, 0.750], [0.625, 0.375, 0.250], [0.125, 0.875, 0.250], [0.875, 0.125, 0.750], [0.134, 0.697, 0.437], [0.240, 0.303, 0.937], [0.303, 0.240, 0.437], [0.303, 0.866, 0.063], [0.697, 0.134, 0.937], [0.697, 0.760, 0.563], [0.760, 0.697, 0.063], [0.866, 0.303, 0.563]]
}

(5)
{
  "formula": "LuCrO3",
  "functional": "GGA+U",
  "state": "optimized geometry",
  "formation_energy_ev_per_atom": -3.25,
  "crystal_system": "orthorhombic",
  "final_energy_ev_per_atom": -8.25,
  "space_group": "Pnma (62)",
  "lattice": [[5.563, 0.000, 0.000], [0.000, 7.575, 0.000], [0.000, 0.000, 5.211]],
  "species": ["Lu", "Lu", "Lu", "Lu", "Cr", "Cr", "Cr", "Cr", "O", "O", "O", "O", "O", "O", "O", "O", "O", "O", "O", "O"],
  "fractional_positions": [[0.073, 0.250, 0.023], [0.427, 0.750, 0.523], [0.573, 0.250, 0.477], [0.927, 0.750, 0.977], [0.000, 0.000, 0.500], [0.000, 0.500, 0.500], [0.500, 0.000, 0.000], [0.500, 0.500, 0.000], [0.050, 0.750, 0.374], [0.194, 0.564, 0.812], [0.194, 0.936, 0.812], [0.306, 0.064, 0.312], [0.306, 0.436, 0.312], [0.450, 0.250, 0.874], [0.550, 0.750, 0.126], [0.694, 0.564, 0.688], [0.694, 0.936, 0.688], [0.806, 0.064, 0.188], [0.806, 0.436, 0.188], [0.950, 0.250, 0.626]]
}

(6)
{
  "formula": "LuCrO5",
  "functional": "GGA+U",
  "state": "optimized geometry",
  "formation_energy_ev_per_atom": -2.33,
  "crystal_system": "monoclinic",
  "final_energy_ev_per_atom": -7.11,
  "space_group": "P2_1/c (14)",
  "lattice": [[8.036, 0.000, 0.000], [0.000, 11.415, 0.000], [-7.732, 0.000, 8.154]],
  "species": ["Lu", "Lu", "Lu", "Lu", "Lu", "Lu", "Lu", "Lu", "Cr", "Cr", "Cr", "Cr", "Cr", "Cr", "Cr", "Cr", "O", "O", "O", "O", "O", "O", "O", "O", "O", "O", "O", "O", "O", "O", "O", "O", "O", "O", "O", "O", "O", "O", "O", "O", "O", "O", "O", "O", "O", "O", "O", "O", "O", "O", "O", "O", "O", "O", "O", "O"],
  "fractional_positions": [[0.207, 0.059, 0.340], [0.207, 0.441, 0.840], [0.249, 0.576, 0.177], [0.249, 0.924, 0.677], [0.751, 0.076, 0.323], [0.751, 0.424, 0.823], [0.793, 0.559, 0.160], [0.793, 0.941, 0.660], [0.135, 0.172, 0.999], [0.135, 0.328, 0.499], [0.407, 0.690, 0.545], [0.407, 0.810, 0.045], [0.593, 0.190, 0.955], [0.593, 0.310, 0.455], [0.865, 0.672, 0.501], [0.865, 0.828, 0.001], [0.055, 0.540, 0.916], [0.055, 0.960, 0.416], [0.059, 0.584, 0.658], [0.059, 0.916, 0.158], [0.093, 0.187, 0.434], [0.093, 0.313, 0.934], [0.131, 0.165, 0.143], [0.131, 0.335, 0.643], [0.212, 0.619, 0.365], [0.212, 0.881, 0.865], [0.291, 0.745, 0.609], [0.291, 0.755, 0.109], [0.389, 0.097, 0.814], [0.389, 0.403, 0.314], [0.392, 0.128, 0.086], [0.392, 0.372, 0.586], [0.448, 0.513, 0.104], [0.448, 0.987, 0.604], [0.492, 0.193, 0.481], [0.492, 0.307, 0.981], [0.508, 0.693, 0.019], [0.508, 0.807, 0.519], [0.552, 0.013, 0.396], [0.552, 0.487, 0.896], [0.608, 0.628, 0.414], [0.608, 0.872, 0.914], [0.611, 0.597, 0.686], [0.611, 0.903, 0.186], [0.709, 0.245, 0.891], [0.709, 0.255, 0.391], [0.788, 0.119, 0.135], [0.788, 0.381, 0.635], [0.869, 0.665, 0.357], [0.869, 0.835, 0.857], [0.907, 0.687, 0.066], [0.907, 0.813, 0.566], [0.941, 0.084, 0.842], [0.941, 0.416, 0.342], [0.945, 0.040, 0.584], [0.945, 0.460, 0.084]]
}

(7)
{
  "formula": "YLuCr2O8",
  "functional": "GGA+U",
  "state": "optimized geometry",
  "formation_energy_ev_per_atom": -2.77,
  "crystal_system": "tetragonal",
  "final_energy_ev_per_atom": -7.80,
  "space_group": "I-4m2 (119)",
  "lattice": [[-3.578, 3.578, 3.130], [3.578, -3.578, 3.130], [3.578, 3.578, -3.130]],
  "species": ["Y", "Lu", "Cr", "Cr", "O", "O", "O", "O", "O", "O", "O", "O"],
  "fractional_positions": [[0.000, 0.000, 0.000], [0.750, 0.250, 0.500], [0.250, 0.750, 0.500], [0.500, 0.500, 0.000], [0.071, 0.388, 0.317], [0.071, 0.754, 0.683], [0.139, 0.326, 0.813], [0.246, 0.929, 0.317], [0.513, 0.326, 0.187], [0.612, 0.929, 0.683], [0.674, 0.487, 0.813], [0.674, 0.861, 0.187]]
}

(8)
{
  "formula": "Na4MgCr2O8",
  "functional": "GGA+U",
  "state": "optimized geometry",
  "formation_energy_ev_per_atom": -2.01,
  "relative_energy_mev_per_atom": 0,
  "crystal_system": "orthorhombic",
  "final_energy_ev_per_atom": -5.77,
  "space_group": "Amm2 (38)",
  "lattice": [[7.306, 0.000, 0.000], [0.000, 2.944, 5.024], [0.000, -2.944, 5.024]],
  "species": ["Na", "Na", "Na", "Na", "Mg", "Cr", "Cr", "O", "O", "O", "O", "O", "O", "O", "O"],
  "fractional_positions": [[0.000, 0.000, 0.000], [0.221, 0.641, 0.641], [0.500, 0.397, 0.397], [0.779, 0.641, 0.641], [0.500, 0.838, 0.838], [0.000, 0.313, 0.313], [0.500, 0.107, 0.107], [0.000, 0.447, 0.984], [0.000, 0.984, 0.447], [0.183, 0.411, 0.411], [0.318, 0.985, 0.985], [0.500, 0.463, 0.951], [0.500, 0.951, 0.463], [0.682, 0.985, 0.985], [0.817, 0.411, 0.411]]
}